(1)
First-principles (PBE) data for an optimized crystal structure of CeCo10Mo2, as listed in Materials Project.

Unit cell a=4.665 b=8.463 c=8.484 alpha=90.00 beta=90.00 gamma=90.00
Space group Immm (No. 71)
One atom of each set of equivalent atoms:
Ce1 0.000 0.000 0.000 [2 per cell]
Co1 0.000 0.290 0.500 [4 per cell]
Co2 0.000 0.360 0.000 [4 per cell]
Co3 0.000 0.500 0.280 [4 per cell]
Co4 0.250 0.250 0.250 [8 per cell]
Mo1 0.000 0.000 0.359 [4 per cell]

Properties
Volume, Å³ per cell: 334.92
Size of the total moment, Bohr magnetons per cell: 22.42
Formation enthalpy at 0 K, eV per atom: -0.0268


(2)
First-principles (PBE) data for an optimized crystal structure of CeCo16P48, as listed in Materials Project.

Unit cell a=10.914 b=7.722 c=21.702 alpha=90.00 beta=90.01 gamma=90.00
Space group C2/m (No. 12)
One atom of each set of equivalent atoms:
Ce1 0.000 0.000 0.000 [2 per cell]
Co1 0.000 0.249 0.125 [8 per cell]
Co2 0.000 0.250 0.375 [8 per cell]
Co3 0.250 0.250 0.000 [4 per cell]
Co4 0.250 0.250 0.250 [8 per cell]
Co5 0.250 0.250 0.500 [4 per cell]
P1 0.073 0.150 0.786 [8 per cell]
P2 0.073 0.151 0.287 [8 per cell]
P3 0.073 0.349 0.537 [8 per cell]
P4 0.076 0.354 0.038 [8 per cell]
P5 0.100 0.500 0.873 [4 per cell]
P6 0.101 0.000 0.624 [4 per cell]
P7 0.101 0.500 0.374 [4 per cell]
P8 0.104 0.000 0.127 [4 per cell]
P9 0.173 0.353 0.164 [8 per cell]
P10 0.174 0.146 0.413 [8 per cell]
P11 0.174 0.354 0.663 [8 per cell]
P12 0.179 0.149 0.910 [8 per cell]
P13 0.246 0.500 0.799 [4 per cell]
P14 0.247 0.000 0.551 [4 per cell]
P15 0.248 0.500 0.301 [4 per cell]
P16 0.248 0.500 0.948 [4 per cell]

Properties
Volume, Å³ per cell: 1829.00
Size of the total moment, Bohr magnetons per cell: 2.54
Formation enthalpy at 0 K, eV per atom: -0.5130


(3)
First-principles (PBE) data for an optimized crystal structure of CeCo5P3, as listed in Materials Project.

Unit cell a=11.729 b=3.693 c=10.402 alpha=90.00 beta=90.00 gamma=90.00
Space group Pnma (No. 62)
One atom of each set of equivalent atoms:
Ce1 0.202 0.250 0.084 [4 per cell]
Co1 0.011 0.750 0.715 [4 per cell]
Co2 0.012 0.750 0.092 [4 per cell]
Co3 0.068 0.750 0.471 [4 per cell]
Co4 0.179 0.250 0.780 [4 per cell]
Co5 0.196 0.250 0.383 [4 per cell]
P1 0.110 0.750 0.894 [4 per cell]
P2 0.111 0.250 0.584 [4 per cell]
P3 0.126 0.750 0.275 [4 per cell]

Properties
Volume, Å³ per cell: 450.53
Formation enthalpy at 0 K, eV per atom: -0.8158


(4)
First-principles (PBE) data for an optimized crystal structure of Ce2Co12P7, as listed in Materials Project.

Unit cell a=9.0197 b=9.0197 c=3.6328 alpha=90.00 beta=90.00 gamma=120.00
Space group P-6 (No. 174)
One atom of each set of equivalent atoms:
Ce1 0.0000 0.0000 0.0000 [1 per cell]
Ce2 0.3333 0.6667 0.5000 [1 per cell]
Co1 0.0390 0.7675 0.5000 [3 per cell]
Co2 0.1009 0.3859 0.0000 [3 per cell]
Co3 0.4440 0.2346 0.0000 [3 per cell]
Co4 0.5134 0.0608 0.5000 [3 per cell]
P1 0.0632 0.6239 0.0000 [3 per cell]
P2 0.2630 0.0383 0.5000 [3 per cell]
P3 0.6667 0.3333 0.5000 [1 per cell]

Properties
Volume, Å³ per cell: 255.95
Size of the total moment, Bohr magnetons per cell: 4.82
Formation enthalpy at 0 K, eV per atom: -0.7753